Ca4ZnFe3Si8O24 | PBE+U | relaxed

Lattice parameters (Å, degrees): 5.316 9.134 9.969 90.00 105.28 90.00
Space group P2 (No. 3)
Symmetry-distinct sites (fractional):
Ca: 0.000 0.000 0.000 [1 per cell]
Ca: 0.000 0.500 0.500 [1 per cell]
Ca: 0.500 0.098 0.500 [1 per cell]
Ca: 0.500 0.598 0.000 [1 per cell]
Zn: 0.000 0.393 0.000 [1 per cell]
Fe: 0.000 0.892 0.500 [1 per cell]
Fe: 0.500 0.206 0.000 [1 per cell]
Fe: 0.500 0.706 0.500 [1 per cell]
Si: 0.018 0.207 0.713 [2 per cell]
Si: 0.018 0.706 0.213 [2 per cell]
Si: 0.481 0.391 0.287 [2 per cell]
Si: 0.482 0.891 0.787 [2 per cell]
O: 0.073 0.053 0.362 [2 per cell]
O: 0.074 0.552 0.863 [2 per cell]
O: 0.100 0.209 0.881 [2 per cell]
O: 0.100 0.709 0.381 [2 per cell]
O: 0.244 0.318 0.350 [2 per cell]
O: 0.244 0.818 0.850 [2 per cell]
O: 0.256 0.780 0.150 [2 per cell]
O: 0.257 0.280 0.650 [2 per cell]
O: 0.398 0.389 0.118 [2 per cell]
O: 0.401 0.889 0.619 [2 per cell]
O: 0.426 0.044 0.137 [2 per cell]
O: 0.427 0.544 0.638 [2 per cell]

Values from the calculation:
Total energy after the MP2020 corrections (eV/atom): -7.94
E_tot (eV per atom): -7.35